Here is a relaxed Ti3Sn crystal from the Materials Project database. Energies are from PBE-GGA.

Summary:
- Crystal system: cubic
- Raw total energy: -28.47 eV/f.u.
- Space-group type: Fm-3m
- V: 72 Å³ per cell

a b c (Å): 4.6743 4.6743 4.6743
angles (deg): 60.00 60.00 60.00
Fractional positions:
Ti  0.7500  0.7500  0.7500
Ti  0.2500  0.2500  0.2500
Ti  0.0000  0.0000  0.0000
Sn  0.5000  0.5000  0.5000